No. 1
The following is a DFT calculation (meta-GGA r2SCAN) of a geometry-optimized Nb3SI7 structure.

Cell and atoms, written as extended XYZ:
```
44
Lattice="-5.2532 11.5575 -0.0958 -4.3134 -2.0139 -6.4271 -12.9990 -5.8480 7.2859" Properties=species:S:1:pos:R:3 pbc="T T T"
Nb -14.5608 5.8313 4.0790
Nb -7.3219 2.1137 -0.1294
Nb -8.0048 -2.1356 -3.3161
Nb -15.2437 1.5820 0.8924
Nb -10.3782 -3.1547 4.3288
Nb -8.5541 4.6088 -0.3253
Nb -12.1874 6.8504 -3.5658
Nb -14.0115 -0.9131 1.0883
Nb -16.8016 6.3283 5.6600
Nb -6.2129 4.1069 -1.7310
Nb -5.7640 -2.6327 -4.8970
Nb -16.3527 -0.4112 2.4940
S -18.8957 5.1940 -0.3467
S -8.3323 3.0074 -2.1496
S -3.6699 -1.4984 1.1097
S -14.2333 0.6882 2.9126
I -12.7351 -2.6311 5.8013
I -7.3896 6.7084 -1.8195
I -9.8305 6.3268 -5.0383
I -15.1760 -3.0127 2.5825
I -11.8257 -5.1935 2.9246
I -6.0751 4.3782 1.0977
I -10.7399 8.8892 -2.1616
I -16.4905 -0.6825 -0.3347
I -13.9709 4.0621 1.7052
I -6.3917 0.5387 2.2722
I -8.5947 -0.3664 -0.9422
I -16.1739 3.1569 -1.5092
I -11.3325 -1.2278 2.2153
I -9.3915 6.6237 1.7555
I -11.2331 4.9234 -1.4523
I -13.1741 -2.9280 -0.9925
I -15.7793 3.6714 5.4403
I -4.8849 1.5929 -1.4684
I -6.7863 0.0243 -4.6773
I -17.6807 2.1028 2.2314
I -21.2657 4.2023 2.1180
I -6.0113 4.1070 -4.6152
I -1.2999 -0.5066 -1.3550
I -16.5543 -0.4113 5.3782
I -8.1987 -3.6467 2.5773
I -9.6276 2.6675 1.4463
I -14.3668 7.3424 -1.8143
I -12.9380 1.0282 -0.6833
```

Computed properties:
Mass density in g cm⁻³: 4.967
VASP energy in eV per atom: -23.864
Magnetic moment in μB per cell: 0.0
Crystal system: monoclinic
DFT formation energy in eV per atom: -0.760

***

No. 2
The following is a DFT calculation (meta-GGA r2SCAN) of a geometry-optimized NbSeI structure.

Cell and atoms, written as extended XYZ:
```
12
Lattice="-0.0003 5.5346 5.5340 5.4232 0.1118 5.4219 5.5348 5.5343 -0.0001" Properties=species:S:1:pos:R:3 pbc="T T T"
Nb 4.4153 4.4205 4.4143
Nb 6.4576 4.6117 6.4563
Nb 4.4153 6.6539 6.6479
Nb 6.6486 6.6540 4.4142
Se 4.1188 6.9503 4.1180
Se 3.9612 4.1675 6.9006
Se 6.9015 4.1676 3.9599
Se 6.9017 7.1080 6.9006
I 1.3984 1.4496 1.3973
I 1.3984 4.1364 4.0846
I 4.0869 1.4473 4.0875
I 4.0849 4.1365 1.3977
```

Computed properties:
Mass density in g cm⁻³: 6.036
VASP energy in eV per atom: -22.094
Magnetic moment in μB per cell: 2.0
Crystal system: trigonal
DFT formation energy in eV per atom: -0.892

***

No. 3
The following is a DFT calculation (meta-GGA r2SCAN) of a geometry-optimized NdI2 structure.

Cell and atoms, written as extended XYZ:
```
3
Lattice="3.7543 0.0000 -0.9981 -0.2654 3.7449 -0.9981 0.0603 0.0647 7.7865" Properties=species:S:1:pos:R:3 pbc="T T T"
Nd 0.0000 0.0000 0.0000
I 2.2122 2.3745 0.7611
I 1.3370 1.4351 5.0291
```

Computed properties:
Mass density in g cm⁻³: 6.011
VASP energy in eV per atom: -27.683
Magnetic moment in μB per cell: 0.2
Crystal system: tetragonal
DFT formation energy in eV per atom: -1.504

***

No. 4
The following is a DFT calculation (meta-GGA r2SCAN) of a geometry-optimized NiI2O6 structure.

Cell and atoms, written as extended XYZ:
```
36
Lattice="0.1248 -4.3146 2.6891 9.2823 -0.2342 -0.8065 0.9833 5.7276 9.1442" Properties=species:S:1:pos:R:3 pbc="T T T"
Ni 7.3480 0.2369 4.0184
Ni 3.0833 -0.4714 7.8891
Ni 7.8401 3.1012 8.5900
Ni 2.5911 -3.3345 3.3166
I 9.3229 1.2954 6.3209
I 8.8308 -1.5677 1.7484
I 1.1266 -2.1542 5.9756
I 1.6184 0.7105 10.5471
I 6.1870 3.4828 5.3265
I 5.6951 0.6195 0.7545
I 4.1415 -0.1698 4.3705
I 4.6334 2.6942 8.9417
O 9.4037 3.6468 7.4195
O 8.9122 0.7822 2.8488
O 0.9761 -2.1095 3.3836
O 1.4680 0.7527 7.9559
O 6.4023 3.4921 7.1412
O 5.9109 0.6292 2.5696
O 3.9732 -1.8029 3.5675
O 4.4647 1.0611 8.1385
O 8.2502 1.2698 7.8002
O 7.7582 -1.5942 3.2279
O 2.1127 0.8667 2.6293
O 2.6045 3.7306 7.2018
O 4.5860 2.6167 5.2839
O 4.0942 -0.2467 0.7119
O 5.7758 -0.4457 5.1243
O 6.2674 2.4185 9.6960
O 7.2760 2.0645 4.9568
O 6.7841 -0.7991 0.3846
O 3.1035 -0.5072 5.8341
O 3.5953 2.3572 10.4057
O 1.7231 2.2126 4.9639
O 1.2308 -0.6502 0.3915
O 8.6438 -0.2168 5.5533
O 9.1358 2.6475 10.1248
```

Computed properties:
Mass density in g cm⁻³: 5.284
VASP energy in eV per atom: -11.344
Magnetic moment in μB per cell: 0.0
DFT formation energy in eV per atom: -0.574

***

No. 5
The following is a DFT calculation (meta-GGA r2SCAN) of a geometry-optimized Pr2Ni2I structure.

Cell and atoms, written as extended XYZ:
```
10
Lattice="-1.9570 3.3627 -1.2302 -1.5607 -2.2877 2.9969 8.8212 9.4545 11.8113" Properties=species:S:1:pos:R:3 pbc="T T T"
Pr 5.3314 5.7142 7.1386
Pr 3.4898 3.7403 4.6727
Pr 0.9208 0.9869 1.2329
Pr 7.9004 8.4676 10.5783
Ni 2.5912 6.2124 6.0918
Ni -1.6873 -0.3984 1.5952
Ni 6.9909 10.9279 11.9828
Ni 2.7124 4.3172 7.4862
I 0.3804 3.8429 3.1317
I 4.9231 6.6866 10.4463
```

Computed properties:
Mass density in g cm⁻³: 6.919
VASP energy in eV per atom: -22.200
Magnetic moment in μB per cell: 0.0
Crystal system: hexagonal
DFT formation energy in eV per atom: -0.734

***

No. 6
The following is a DFT calculation (meta-GGA r2SCAN) of a geometry-optimized NpI3 structure.

Cell and atoms, written as extended XYZ:
```
8
Lattice="-7.1026 1.5650 -2.5090 5.9602 -4.8646 -0.0545 -3.8560 -4.8130 7.9138" Properties=species:S:1:pos:R:3 pbc="T T T"
Np -6.5617 -3.7345 4.0714
Np 1.5633 -4.3782 1.2789
I 1.9796 -7.9385 5.6763
I -6.9780 -0.1741 -0.3260
I -2.8264 -0.9987 -1.1148
I -2.1720 -7.1140 6.4651
I -0.7714 -5.3657 3.5905
I -4.2270 -2.7470 1.7598
```

Computed properties:
Mass density in g cm⁻³: 6.394
VASP energy in eV per atom: -40.609
Magnetic moment in μB per cell: 8.0
Crystal system: orthorhombic
DFT formation energy in eV per atom: -1.434

***

No. 7
The following is a DFT calculation (meta-GGA r2SCAN) of a geometry-optimized NpIO5 structure.

Cell and atoms, written as extended XYZ:
```
28
Lattice="5.5339 0.0000 0.0000 0.0000 6.0169 0.0000 0.0000 0.0000 13.8465" Properties=species:S:1:pos:R:3 pbc="T T T"
Np 2.2398 4.5193 13.4347
Np 5.0067 1.4976 0.4118
Np 2.2398 4.5060 6.5115
Np 5.0067 1.5108 7.3351
I 2.2231 3.0745 3.0130
I 4.9900 2.9423 10.8335
I 2.2231 5.9507 9.9363
I 4.9900 0.0661 3.9102
O 3.3296 5.9949 13.6854
O 0.5627 0.0220 0.1611
O 3.3296 3.0304 6.7622
O 0.5627 2.9864 7.0844
O 1.0433 3.0585 13.1972
O 3.8102 2.9584 0.6493
O 1.0433 5.9668 6.2739
O 3.8102 0.0501 7.5726
O 4.5493 1.4533 4.9740
O 1.7824 4.5635 8.8725
O 4.5493 1.5551 11.8973
O 1.7824 4.4618 1.9493
O 4.0872 0.6075 2.4393
O 1.3203 5.4094 11.4072
O 4.0872 2.4010 9.3626
O 1.3203 3.6159 4.4839
O 3.7617 4.8953 4.5215
O 0.9948 1.1216 9.3250
O 3.7617 4.1300 11.4448
O 0.9948 1.8868 2.4018
```

Computed properties:
Mass density in g cm⁻³: 6.395
VASP energy in eV per atom: -21.503
Magnetic moment in μB per cell: 8.0
Crystal system: orthorhombic
DFT formation energy in eV per atom: -1.868

***

No. 8
The following is a DFT calculation (meta-GGA r2SCAN) of a geometry-optimized IO2 structure.

Cell and atoms, written as extended XYZ:
```
24
Lattice="6.7669 0.0000 0.0000 0.0000 6.9986 -3.5055 0.0000 -0.0119 8.2990" Properties=species:S:1:pos:R:3 pbc="T T T"
I 0.8542 6.0090 2.6730
I 4.2377 0.9718 6.2700
I 5.9127 0.9777 2.1205
I 2.5292 6.0149 -1.4765
I 1.7192 2.2213 0.0713
I 5.1027 4.7714 0.5727
I 5.0477 4.7654 4.7222
I 1.6642 2.2153 4.2208
O 1.7557 0.4050 4.0143
O 5.1391 6.5757 4.9287
O 5.0112 6.5817 0.7792
O 1.6278 0.4109 -0.1352
O 2.3477 2.2219 1.7469
O 5.7311 4.7707 -1.1029
O 4.4192 4.7648 3.0466
O 1.0358 2.2160 5.8964
O 0.2978 4.8286 1.2565
O 3.6813 2.1641 -0.6126
O 6.4691 2.1581 3.5369
O 3.0856 4.8226 5.4060
O 0.3259 4.8309 4.0829
O 3.7094 2.1498 4.8601
O 6.4410 2.1558 0.7106
O 3.0575 4.8369 -0.0666
```

Computed properties:
Mass density in g cm⁻³: 5.375
VASP energy in eV per atom: -12.407
Magnetic moment in μB per cell: 0.0
Crystal system: monoclinic
DFT formation energy in eV per atom: -0.239

***

No. 9
The following is a DFT calculation (meta-GGA r2SCAN) of a geometry-optimized I2O5 structure.

Cell and atoms, written as extended XYZ:
```
28
Lattice="-3.8909 -0.5385 -3.1408 -0.5542 -7.8905 2.0393 -6.3682 5.6126 6.9269" Properties=species:S:1:pos:R:3 pbc="T T T"
I -5.9600 -3.5330 1.3352
I -5.7236 -3.3107 5.0308
I -4.8532 0.7167 4.4901
I -5.0896 0.4944 0.7945
I -2.6651 -5.1442 1.1485
I -9.4125 -1.7539 4.8995
I -8.1481 2.3279 4.6768
I -1.4008 -1.0624 0.9259
O -4.0108 -3.8002 1.3259
O -5.3928 -2.7279 6.8807
O -6.8025 0.9839 4.4995
O -5.4204 -0.0884 -1.0553
O -2.4565 -4.5626 3.7363
O -6.7745 -1.9417 4.6096
O -8.3567 1.7462 2.0890
O -4.0388 -0.8746 1.2158
O -3.4692 -1.6033 -2.2499
O -7.8232 2.6275 6.4452
O -7.3440 -1.2130 8.0753
O -2.9900 -5.4438 -0.6198
O -1.6350 -2.3635 2.1238
O -7.2522 3.7206 4.0130
O -9.1783 -0.4528 3.7015
O -3.5610 -6.5369 1.8124
O -6.6237 -0.3493 1.4126
O -4.6981 1.3695 2.7590
O -4.1896 -2.4670 4.4128
O -6.1152 -4.1858 3.0664
```

Computed properties:
Mass density in g cm⁻³: 5.160
VASP energy in eV per atom: -11.561
Magnetic moment in μB per cell: 0.0
Crystal system: monoclinic
DFT formation energy in eV per atom: -0.278

***

No. 10
The following is a DFT calculation (meta-GGA r2SCAN) of a geometry-optimized PPb2IO4 structure.

Cell and atoms, written as extended XYZ:
```
32
Lattice="-0.5530 -8.4250 2.4509 2.7146 2.1181 7.8937 -7.0094 2.0592 5.4972" Properties=species:S:1:pos:R:3 pbc="T T T"
P -4.7709 3.1075 11.1742
P 1.5020 -2.9217 7.6327
P -0.0768 -7.3551 4.6675
P -6.3497 -1.3260 8.2090
Pb -0.0103 -1.2319 5.1620
Pb -6.2479 -4.8841 6.9683
Pb -4.8374 -3.0158 10.6797
Pb 1.4001 0.6365 8.8734
Pb -2.6580 0.8312 12.5045
Pb -0.9154 -5.2821 7.6513
Pb -2.1898 -5.0789 3.3372
Pb -3.9324 1.0345 8.1904
I -1.9869 -5.2687 10.9924
I -1.7104 -1.0718 9.7131
I -2.8608 1.0210 4.8493
I -3.1373 -3.1758 6.1287
O 0.7191 1.1087 5.9916
O -4.0038 -1.1630 12.8852
O -5.5668 -5.3564 9.8501
O -0.8439 -3.0846 2.9565
O 0.0486 -0.2086 2.9335
O -6.1048 -2.8302 8.3016
O -4.8963 -4.0391 12.9082
O 1.2570 -1.4174 7.5401
O 1.1348 -3.5607 8.9890
O -4.5313 1.8039 10.3830
O -5.9826 -0.6869 6.8527
O -0.3165 -6.0515 5.4587
O -5.5162 -0.6324 9.3137
O -0.8589 -7.2645 3.3347
O 0.6684 -3.6153 6.5280
O -3.9889 3.0169 12.5070
```

Computed properties:
Mass density in g cm⁻³: 6.557
VASP energy in eV per atom: -23.110
Magnetic moment in μB per cell: 0.0
Crystal system: monoclinic
DFT formation energy in eV per atom: -1.857

***

No. 11
The following is a DFT calculation (meta-GGA r2SCAN) of a geometry-optimized PbI2O6 structure.

Cell and atoms, written as extended XYZ:
```
36
Lattice="-5.2048 0.1446 -1.9486 1.8877 -2.4421 -5.2233 -2.7409 -15.3429 6.1828" Properties=species:S:1:pos:R:3 pbc="T T T"
Pb -4.8388 -8.1725 0.3104
Pb -2.4511 -1.7242 -5.3652
Pb -1.2192 -9.4679 -1.2995
Pb -0.8660 -0.5734 -1.8067
I -3.5342 -6.7860 -3.0469
I -4.2396 -12.0016 -1.5496
I -3.9396 -2.8729 -1.4993
I -5.6074 -13.4759 2.1690
I -2.5238 -10.8544 2.0578
I -1.8184 -5.6389 0.5605
I -2.1184 -14.7676 0.5102
I -0.4506 -4.1646 -3.1581
O -2.4010 -8.1128 -3.5924
O -3.6797 -10.7218 -0.3702
O -4.2288 -2.6379 -3.2890
O -7.0112 -13.6638 3.3249
O -3.6570 -9.5276 2.6033
O -2.3782 -6.9186 -0.6189
O -1.8292 -15.0026 2.2999
O 0.9532 -3.9767 -4.3140
O 0.7948 -6.5566 -2.6472
O -0.7290 -12.4488 0.9857
O -2.4972 -3.9798 -1.5180
O -4.4798 -12.4403 3.1499
O -1.1239 -2.4884 -3.4918
O -2.9260 -16.4027 0.2894
O -1.5165 -6.8346 1.9220
O -1.3447 -9.6999 1.2507
O -4.9340 -15.1521 2.5027
O -3.1319 -1.2378 -1.2785
O -4.5415 -10.8059 -2.9111
O -4.7132 -7.9406 -2.2398
O -1.5782 -5.2002 -4.1390
O -3.5608 -13.6606 0.5289
O -5.3290 -5.1917 -1.9748
O -6.8528 -11.0839 1.6581
```

Computed properties:
Mass density in g cm⁻³: 6.542
VASP energy in eV per atom: -16.345
Magnetic moment in μB per cell: 0.0
Crystal system: orthorhombic
Energy above the lowest structure with this stoichiometry in eV per atom: 0.000
DFT formation energy in eV per atom: -0.652

***

No. 12
The following is a DFT calculation (meta-GGA r2SCAN) of a geometry-optimized PbI2O6 structure.

Cell and atoms, written as extended XYZ:
```
36
Lattice="-3.1317 -0.4435 6.1905 4.1922 0.0154 5.7242 -0.5133 13.1290 1.6108" Properties=species:S:1:pos:R:3 pbc="T T T"
Pb 0.0487 10.9903 12.2973
Pb 0.4986 1.7106 1.2281
Pb -1.9788 7.8457 8.8566
Pb 2.5261 4.8552 4.6688
I 1.6595 7.8129 10.5383
I -1.1122 4.8880 2.9871
I 1.2022 7.9433 6.5316
I -0.6549 4.7576 6.9938
I -0.8685 11.3438 4.2769
I 1.4158 1.3571 9.2485
I -0.4803 11.2996 8.4097
I 1.0276 1.4013 5.1158
O 0.7296 8.3850 11.9939
O -0.1823 4.3159 1.5316
O 1.3978 6.0187 10.7122
O -0.8505 6.6822 2.8132
O 0.4936 8.2141 9.1934
O 0.0537 4.4868 4.3320
O -0.5712 7.4949 6.6248
O 1.1185 5.2059 6.9006
O 1.0045 9.7026 6.2209
O -0.4572 2.9983 7.3046
O 1.4915 7.2967 4.8449
O -0.9442 5.4042 8.6805
O 1.5152 11.4926 10.2416
O -0.9679 1.2082 3.2838
O -0.8844 9.7410 3.4400
O 1.4317 2.9599 10.0854
O -0.7482 12.3966 2.8081
O 1.2955 0.3042 10.7173
O -1.2856 10.6072 9.8957
O 1.8329 2.0937 3.6297
O -0.3694 -0.0773 7.0817
O 0.9167 12.7782 6.4437
O -1.6918 10.7747 7.1675
O 2.2391 1.9262 6.3579
```

Computed properties:
Mass density in g cm⁻³: 6.375
VASP energy in eV per atom: -16.339
Magnetic moment in μB per cell: 0.0
Crystal system: triclinic
Energy above the lowest structure with this stoichiometry in eV per atom: 0.006
DFT formation energy in eV per atom: -0.646

***

No. 13
The following is a DFT calculation (meta-GGA r2SCAN) of a geometry-optimized Pb3I2O2 structure.

Cell and atoms, written as extended XYZ:
```
28
Lattice="-2.0528 4.6277 -3.1872 -2.9341 -4.8599 -5.1667 -15.5484 -0.4952 9.2954" Properties=species:S:1:pos:R:3 pbc="T T T"
Pb -4.0888 3.2793 -1.0265
Pb -13.1943 0.8267 1.2769
Pb -10.7872 0.0897 -1.3435
Pb -1.3728 0.4262 -1.3042
Pb -9.7481 -0.8171 2.2850
Pb -8.3036 2.2321 0.1677
Pb -16.2851 1.6412 4.4503
Pb -4.2502 -2.3685 -3.5088
Pb -7.3410 -1.5540 -0.3354
Pb -12.2317 -2.9595 0.7739
Pb -19.1625 -1.1536 2.2457
Pb -16.4465 -4.0067 1.9680
I -3.7264 1.4799 -3.8726
I -16.8088 -2.2073 4.8141
I -12.9888 -0.7895 4.4123
I -10.6024 2.7202 2.3569
I -4.7744 0.1871 0.5396
I -7.5465 0.0622 -3.4707
I -9.9329 -3.4475 -1.4153
I -15.7608 -0.9145 0.4019
O -3.8444 -4.5032 -4.0632
O -15.6647 1.4626 6.5980
O -8.8831 0.0660 0.2023
O -11.6521 -0.7934 0.7392
O -10.6260 -3.1067 2.3324
O -4.8705 -2.1900 -5.6564
O -16.6909 3.7759 5.0048
O -9.9093 2.3793 -1.3909
```

Computed properties:
Mass density in g cm⁻³: 7.243
VASP energy in eV per atom: -33.950
Magnetic moment in μB per cell: 0.0
Crystal system: orthorhombic
DFT formation energy in eV per atom: -1.105